No. 1
{
  "formula": "RbC2N3",
  "functional": "PBE-GGA",
  "state": "relaxed",
  "lattice_angstrom": [[5.094, 7.013, 0.000], [-5.094, 7.013, 0.000], [0.000, 6.604, 13.048]],
  "species": ["Rb", "Rb", "Rb", "Rb", "Rb", "Rb", "Rb", "Rb", "C", "C", "C", "C", "C", "C", "C", "C", "C", "C", "C", "C", "C", "C", "C", "C", "N", "N", "N", "N", "N", "N", "N", "N", "N", "N", "N", "N", "N", "N", "N", "N", "N", "N", "N", "N", "N", "N", "N", "N"],
  "frac_coords": [[0.840, 0.829, 0.371], [0.171, 0.160, 0.129], [0.160, 0.171, 0.629], [0.829, 0.840, 0.871], [0.661, 0.301, 0.086], [0.699, 0.339, 0.414], [0.339, 0.699, 0.914], [0.301, 0.661, 0.586], [0.932, 0.842, 0.109], [0.158, 0.068, 0.391], [0.068, 0.158, 0.891], [0.842, 0.932, 0.609], [0.893, 0.584, 0.123], [0.416, 0.107, 0.377], [0.107, 0.416, 0.877], [0.584, 0.893, 0.623], [0.193, 0.513, 0.382], [0.487, 0.807, 0.118], [0.807, 0.487, 0.618], [0.513, 0.193, 0.882], [0.219, 0.483, 0.226], [0.517, 0.781, 0.274], [0.781, 0.517, 0.774], [0.483, 0.219, 0.726], [0.929, 0.954, 0.139], [0.046, 0.071, 0.361], [0.071, 0.046, 0.861], [0.954, 0.929, 0.639], [0.940, 0.727, 0.069], [0.273, 0.060, 0.431], [0.060, 0.273, 0.931], [0.727, 0.940, 0.569], [0.853, 0.451, 0.165], [0.549, 0.147, 0.335], [0.147, 0.549, 0.835], [0.451, 0.853, 0.665], [0.229, 0.499, 0.456], [0.501, 0.771, 0.044], [0.771, 0.501, 0.544], [0.499, 0.229, 0.956], [0.135, 0.539, 0.306], [0.461, 0.865, 0.194], [0.865, 0.461, 0.694], [0.539, 0.135, 0.806], [0.283, 0.438, 0.151], [0.562, 0.717, 0.349], [0.717, 0.562, 0.849], [0.438, 0.283, 0.651]],
  "delta_e_f_ev_per_atom": -0.260,
  "spacegroup": "C2/c (15)",
  "total_magnetization_mub_per_cell": 0.00
}

***

No. 2
{
  "formula": "RbC2N3",
  "functional": "PBE-GGA",
  "state": "relaxed",
  "lattice_angstrom": [[6.675, 0.000, 0.000], [0.000, 7.709, 0.000], [0.000, 0.000, 8.717]],
  "species": ["Rb", "Rb", "Rb", "Rb", "C", "C", "C", "C", "C", "C", "C", "C", "N", "N", "N", "N", "N", "N", "N", "N", "N", "N", "N", "N"],
  "frac_coords": [[0.750, 0.000, 0.187], [0.250, 0.000, 0.813], [0.250, 0.500, 0.813], [0.750, 0.500, 0.187], [0.853, 0.250, 0.572], [0.266, 0.750, 0.179], [0.734, 0.250, 0.821], [0.234, 0.250, 0.179], [0.353, 0.250, 0.428], [0.766, 0.750, 0.821], [0.147, 0.750, 0.428], [0.647, 0.750, 0.572], [0.851, 0.250, 0.437], [0.879, 0.250, 0.721], [0.121, 0.750, 0.279], [0.149, 0.750, 0.563], [0.379, 0.250, 0.279], [0.614, 0.250, 0.921], [0.649, 0.750, 0.437], [0.886, 0.750, 0.921], [0.621, 0.750, 0.721], [0.351, 0.250, 0.563], [0.386, 0.750, 0.079], [0.114, 0.250, 0.079]],
  "delta_e_f_ev_per_atom": -0.258,
  "spacegroup": "Pbcm (57)",
  "total_magnetization_mub_per_cell": 0.01
}

***

No. 3
{
  "formula": "RbCN2",
  "functional": "PBE-GGA",
  "state": "relaxed",
  "lattice_angstrom": [[7.693, 0.000, 0.000], [0.000, 9.327, 0.000], [0.000, 0.000, 9.411]],
  "species": ["Rb", "Rb", "Rb", "Rb", "Rb", "Rb", "Rb", "Rb", "C", "C", "C", "C", "C", "C", "C", "C", "N", "N", "N", "N", "N", "N", "N", "N", "N", "N", "N", "N", "N", "N", "N", "N"],
  "frac_coords": [[0.516, 0.252, 0.152], [0.484, 0.752, 0.348], [0.016, 0.248, 0.848], [0.984, 0.748, 0.652], [0.734, 0.098, 0.509], [0.266, 0.598, 0.991], [0.234, 0.402, 0.491], [0.766, 0.902, 0.009], [0.732, 0.439, 0.490], [0.268, 0.939, 0.010], [0.232, 0.061, 0.510], [0.768, 0.561, 0.990], [0.985, 0.749, 0.314], [0.015, 0.249, 0.186], [0.485, 0.751, 0.686], [0.515, 0.251, 0.814], [0.859, 0.437, 0.570], [0.141, 0.937, 0.930], [0.359, 0.063, 0.430], [0.641, 0.563, 0.070], [0.604, 0.438, 0.410], [0.396, 0.938, 0.090], [0.104, 0.062, 0.590], [0.896, 0.562, 0.910], [0.111, 0.668, 0.300], [0.889, 0.168, 0.200], [0.611, 0.832, 0.700], [0.389, 0.332, 0.800], [0.859, 0.830, 0.331], [0.141, 0.330, 0.169], [0.359, 0.670, 0.669], [0.641, 0.170, 0.831]],
  "delta_e_f_ev_per_atom": -0.106,
  "spacegroup": "P2_12_12_1 (19)",
  "total_magnetization_mub_per_cell": 8.00
}